Entry 1:
VASP calculation (PBE) on an optimized crystal structure of TmMgAg2.

## Properties
energy of formation from the pure elements: -0.3075 eV per atom
space group: Fm-3m

Lattice parameters (Å, degrees): 4.913 4.913 4.913 60.00 60.00 60.00
Atoms (fractional coordinates):
Tm1 0.000 0.000 0.000
Mg1 0.500 0.500 0.500
Ag1 0.750 0.750 0.750
Ag2 0.250 0.250 0.250


Entry 2:
VASP calculation (PBE) on an optimized crystal structure of Tb2Ni7.

## Properties
energy of formation from the pure elements: -0.3875 eV per atom
space group: R-3m
ΔE to the lowest computed polymorph: 0.000 eV/atom

Lattice parameters (Å, degrees): 12.331 12.331 12.331 23.06 23.06 23.06
Atoms (fractional coordinates):
Tb1 0.949 0.949 0.949
Tb2 0.051 0.051 0.051
Tb3 0.852 0.852 0.852
Tb4 0.148 0.148 0.148
Ni1 0.390 0.890 0.390
Ni2 0.390 0.390 0.890
Ni3 0.890 0.390 0.390
Ni4 0.610 0.110 0.610
Ni5 0.610 0.610 0.110
Ni6 0.110 0.610 0.610
Ni7 0.500 0.500 0.000
Ni8 0.000 0.500 0.500
Ni9 0.500 0.000 0.500
Ni10 0.722 0.722 0.722
Ni11 0.278 0.278 0.278
Ni12 0.612 0.612 0.612
Ni13 0.388 0.388 0.388
Ni14 0.500 0.500 0.500